Entry 1:
Density functional theory data (meta-GGA r2SCAN) for a relaxed structure of HfTeS.

abc: 3.8154 3.8154 6.6061
angles: 90.00 90.00 120.00
With the nearest neighbours (Å) after each atom.
Space group P3m1 (No. 156)
Asymmetric unit:
Hf  0.0000  0.0000  0.0000 (multiplicity 1)  3 S 2.54
Te  0.6667  0.3333  0.7176 (multiplicity 1)  3 Hf 2.89
S  0.3333  0.6667  0.1929 (multiplicity 1)  3 Hf 2.54

- E_form: -1.379 eV/atom
- Total DFT energy (no corrections): -1.01353 hartree per atom
- Calculated volume: 83 Å³/f.u.
- Total magnetization: 0.0 μB per formula unit

=====

Entry 2:
Density functional theory data (meta-GGA r2SCAN) for a relaxed structure of Sn3BF9.

abc: 10.1779 7.5972 10.7574
angles: 90.00 96.99 90.00
With the nearest neighbours (Å) after each atom.
Space group P2_1/c (No. 14)
Asymmetric unit:
Sn  0.0604  0.1595  0.1830 (multiplicity 4)  4 F 2.16-2.40
Sn  0.2012  0.6329  0.0557 (multiplicity 4)  3 F 2.12-2.23
Sn  0.3197  0.0971  0.9348 (multiplicity 4)  3 F 2.08-2.18
B  0.4035  0.5759  0.7976 (multiplicity 4)  4 F 1.38-1.42
F  0.0361  0.6118  0.9069 (multiplicity 4)  2 Sn 2.16-2.18
F  0.0690  0.7397  0.1732 (multiplicity 4)  2 Sn 2.12-2.23
F  0.1726  0.6015  0.4675 (multiplicity 4)  2 Sn 2.18-2.23
F  0.1790  0.1229  0.7723 (multiplicity 4)  2 Sn 2.13-2.20
F  0.1921  0.2473  0.5243 (multiplicity 4)  1 Sn 2.08
F  0.3372  0.0707  0.3433 (multiplicity 4)  1 B 1.42
F  0.3578  0.5949  0.6682 (multiplicity 4)  1 B 1.42
F  0.3685  0.7275  0.8613 (multiplicity 4)  1 B 1.41
F  0.4607  0.0512  0.6856 (multiplicity 4)  1 B 1.38

- E_form: -2.601 eV/atom
- Total DFT energy (no corrections): -0.40574 hartree per atom
- Calculated volume: 206 Å³/f.u.
- Total magnetization: 0.0 μB per formula unit

=====

Entry 3:
Density functional theory data (meta-GGA r2SCAN) for a relaxed structure of SmSnPd2.

abc: 6.8399 6.8399 6.8399
angles: 90.00 90.00 90.00
With the nearest neighbours (Å) after each atom.
Space group Fm-3m (No. 225)
Asymmetric unit:
Sm  0.0000  0.0000  0.0000 (multiplicity 4)  8 Pd 2.96
Sn  0.0000  0.0000  0.5000 (multiplicity 4)  8 Pd 2.96
Pd  0.2500  0.2500  0.2500 (multiplicity 8)  4 Sn 2.96, 4 Sm 2.96

- E_form: -0.838 eV/atom
- Total DFT energy (no corrections): -0.95320 hartree per atom
- Calculated volume: 80 Å³/f.u.
- Total magnetization: 0.0 μB per formula unit

=====

Entry 4:
Density functional theory data (meta-GGA r2SCAN) for a relaxed structure of BBr3.

abc: 6.5729 6.5729 7.0351
angles: 90.00 90.00 120.00
With the nearest neighbours (Å) after each atom.
Space group P6_3/m (No. 176)
Asymmetric unit:
B  0.3333  0.6667  0.2500 (multiplicity 2)  3 Br 1.90
Br  0.0552  0.3674  0.2500 (multiplicity 6)  1 B 1.90

- E_form: -0.591 eV/atom
- Total DFT energy (no corrections): -0.45466 hartree per atom
- Calculated volume: 132 Å³/f.u.
- Total magnetization: 0.0 μB per formula unit

=====

Entry 5:
Density functional theory data (meta-GGA r2SCAN) for a relaxed structure of LuCoGe2.

abc: 4.0179 16.5677 4.0421
angles: 90.00 90.00 90.00
With the nearest neighbours (Å) after each atom.
Space group Cmcm (No. 63)
Asymmetric unit:
Lu  0.0000  0.1112  0.2500 (multiplicity 4)  10 Ge 3.04-3.26, 4 Co 3.06
Co  0.0000  0.3220  0.2500 (multiplicity 4)  5 Ge 2.22-2.34
Ge  0.0000  0.2510  0.7500 (multiplicity 4)  4 Co 2.34
Ge  0.0000  0.4558  0.2500 (multiplicity 4)  1 Co 2.22

- E_form: -0.551 eV/atom
- Total DFT energy (no corrections): -0.74660 hartree per atom
- Calculated volume: 67 Å³/f.u.
- Total magnetization: 0.0 μB per formula unit

=====

Entry 6:
Density functional theory data (meta-GGA r2SCAN) for a relaxed structure of SmCd20Pd2.

abc: 15.7140 15.7140 15.7140
angles: 90.00 90.00 90.00
With the nearest neighbours (Å) after each atom.
Space group Fd-3m (No. 227, origin choice 2)
Asymmetric unit:
Sm  0.1250  0.1250  0.1250 (multiplicity 8)  16 Cd 3.40-3.42
Cd  0.0000  0.0000  0.0000 (multiplicity 16)  12 Cd 3.33, 2 Sm 3.40
Cd  0.0128  0.3750  0.8750 (multiplicity 48)  2 Pd 2.79, 6 Cd 2.96-3.06
Cd  0.0604  0.0604  0.3226 (multiplicity 96)  6 Cd 2.87-3.12, 1 Pd 3.09
Pd  0.0000  0.0000  0.5000 (multiplicity 16)  12 Cd 2.79-3.09

- E_form: -0.199 eV/atom
- Total DFT energy (no corrections): -0.77066 hartree per atom
- Calculated volume: 485 Å³/f.u.
- Total magnetization: 0.0 μB per formula unit

=====

Entry 7:
Density functional theory data (meta-GGA r2SCAN) for a relaxed structure of Li3Pd.

abc: 6.1302 6.1302 6.1302
angles: 90.00 90.00 90.00
With the nearest neighbours (Å) after each atom.
Space group Fm-3m (No. 225)
Asymmetric unit:
Li  0.0000  0.0000  0.0000 (multiplicity 4)  8 Li 2.65
Li  0.2500  0.2500  0.2500 (multiplicity 8)  4 Li 2.65, 4 Pd 2.65
Pd  0.0000  0.0000  0.5000 (multiplicity 4)  8 Li 2.65

- E_form: -0.271 eV/atom
- Total DFT energy (no corrections): -0.28668 hartree per atom
- Calculated volume: 58 Å³/f.u.
- Total magnetization: 0.0 μB per formula unit

=====

Entry 8:
Density functional theory data (meta-GGA r2SCAN) for a relaxed structure of PaB3.

abc: 5.4343 5.4343 3.4551
angles: 90.00 90.00 120.00
With the nearest neighbours (Å) after each atom.
Space group P6_3/mmc (No. 194)
Asymmetric unit:
Pa  0.3333  0.6667  0.2500 (multiplicity 2)  12 B 2.70-2.76
B  0.1125  0.2249  0.7500 (multiplicity 6)  6 B 1.83-2.03

- E_form: -0.215 eV/atom
- Total DFT energy (no corrections): -0.91649 hartree per atom
- Calculated volume: 44 Å³/f.u.
- Total magnetization: 0.0 μB per formula unit

=====

Entry 9:
Density functional theory data (meta-GGA r2SCAN) for a relaxed structure of HoErTl2.

abc: 7.4903 7.4903 7.4903
angles: 90.00 90.00 90.00
With the nearest neighbours (Å) after each atom.
Space group Fm-3m (No. 225)
Asymmetric unit:
Ho  0.0000  0.0000  0.0000 (multiplicity 4)  8 Tl 3.24
Er  0.0000  0.0000  0.5000 (multiplicity 4)  8 Tl 3.24
Tl  0.2500  0.2500  0.2500 (multiplicity 8)  4 Ho 3.24, 4 Er 3.24

- E_form: -0.414 eV/atom
- Total DFT energy (no corrections): -1.60613 hartree per atom
- Calculated volume: 105 Å³/f.u.
- Total magnetization: 0.0 μB per formula unit

=====

Entry 10:
Density functional theory data (meta-GGA r2SCAN) for a relaxed structure of Tm5Ni2Sb.

abc: 7.4755 7.4755 13.1577
angles: 90.00 90.00 90.00
With the nearest neighbours (Å) after each atom.
Space group I4/mcm (No. 140)
Asymmetric unit:
Tm  0.0000  0.0000  0.0000 (multiplicity 4)  4 Ni 2.92
Tm  0.1564  0.3436  0.1360 (multiplicity 16)  3 Ni 2.81-2.86
Ni  0.1320  0.3680  0.5000 (multiplicity 8)  1 Ni 2.79, 8 Tm 2.81-2.92
Sb  0.0000  0.0000  0.2500 (multiplicity 4)  10 Tm 3.20-3.29

- E_form: -0.597 eV/atom
- Total DFT energy (no corrections): -1.05678 hartree per atom
- Calculated volume: 184 Å³/f.u.
- Total magnetization: 0.0 μB per formula unit

=====

Entry 11:
Density functional theory data (meta-GGA r2SCAN) for a relaxed structure of SrNi3Ge2.

abc: 4.0190 4.0190 14.1963
angles: 90.00 90.00 120.00
With the nearest neighbours (Å) after each atom.
Space group P6_3/mmc (No. 194)
Asymmetric unit:
Sr  0.0000  0.0000  0.2500 (multiplicity 2)  6 Ge 3.21, 8 Ni 3.43-3.55
Ni  0.0000  0.0000  0.0000 (multiplicity 2)  6 Ni 2.54, 6 Ge 2.68
Ni  0.3333  0.6667  0.0724 (multiplicity 4)  4 Ge 2.34-2.36, 3 Ni 2.54
Ge  0.3333  0.6667  0.5941 (multiplicity 4)  4 Ni 2.34-2.36

- E_form: -0.450 eV/atom
- Total DFT energy (no corrections): -0.49940 hartree per atom
- Calculated volume: 99 Å³/f.u.
- Total magnetization: 0.0 μB per formula unit

=====

Entry 12:
Density functional theory data (meta-GGA r2SCAN) for a relaxed structure of ThCd11.

abc: 9.3235 9.3235 9.3235
angles: 90.00 90.00 90.00
With the nearest neighbours (Å) after each atom.
Space group Pm-3m (No. 221)
Asymmetric unit:
Th  0.0000  0.0000  0.5000 (multiplicity 3)  20 Cd 3.50-3.81
Cd  0.0000  0.3447  0.3447 (multiplicity 12)  8 Cd 2.88-2.96
Cd  0.1557  0.1557  0.1557 (multiplicity 8)  6 Cd 2.88-2.90
Cd  0.2657  0.2657  0.5000 (multiplicity 12)  9 Cd 2.96-3.09
Cd  0.5000  0.5000  0.5000 (multiplicity 1)  12 Cd 3.09

- E_form: -0.117 eV/atom
- Total DFT energy (no corrections): -0.90657 hartree per atom
- Calculated volume: 270 Å³/f.u.
- Total magnetization: 0.0 μB per formula unit